# ErH2C2SNO9 | the Materials Project | PBE | relaxed
# Formation energy in eV/atom: -1.50
# M_tot in μB/cell: 8.0
data_ErH2C2SNO9
_space_group_name_H-M_alt 'P 1 21/c 1'
_space_group_IT_number 14
_cell_length_a 6.5980
_cell_length_b 8.6850
_cell_length_c 15.3166
_cell_angle_alpha 90.00
_cell_angle_beta 113.48
_cell_angle_gamma 90.00
loop_
_space_group_symop_operation_xyz
'x,y,z'
'-x,-y,-z'
'-x,y+1/2,-z+1/2'
'x,-y+1/2,z+1/2'
loop_
_atom_site_label
_atom_site_type_symbol
_atom_site_fract_x
_atom_site_fract_y
_atom_site_fract_z
_atom_site_occupancy
Er1 Er 0.1698 0.2320 0.4159 1
H1 H 0.2418 0.5300 0.5271 1
H2 H 0.2954 0.1122 0.0942 1
C1 C 0.1113 0.0252 0.2261 1
C2 C 0.1576 0.5210 0.2643 1
S1 S 0.2337 0.6652 0.9744 1
N1 N 0.4508 0.1675 0.6843 1
O1 O 0.0808 0.7383 0.0131 1
O2 O 0.1082 0.5610 0.6620 1
O3 O 0.1526 0.6056 0.1993 1
O4 O 0.1675 0.7062 0.8741 1
O5 O 0.2291 0.0060 0.4853 1
O6 O 0.2358 0.1152 0.2849 1
O7 O 0.2807 0.0661 0.8253 1
O8 O 0.2891 0.0779 0.0325 1
O9 O 0.4598 0.7221 0.0340 1